1.
36
Lattice="-2.926 -4.980 -2.646 -3.833 -3.656 11.409 -10.523 6.996 -1.296" Properties=species:S:1:pos:R:3 comment="K12Mo4S11Cl4O5 (PBE+U, optimized geometry)" total_energy_ev_per_atom=-4.612 space_group="P1, No. 1" formation_energy_kj_per_mol_atoms=-143.3 pbc="T T T"
S -15.748 0.088 4.736
Cl -9.057 -6.830 8.322
Mo -9.557 -1.661 6.454
K -10.098 -2.800 2.604
S -3.760 -4.037 3.034
S -9.897 -3.005 8.223
O -8.518 -0.309 6.940
S -14.720 1.256 7.985
S -5.764 -3.450 6.939
S -8.552 0.255 2.805
Cl -7.536 -4.746 2.575
S -1.344 -1.544 2.163
K -9.100 -0.689 10.562
K -11.175 2.202 7.132
K -12.764 -1.363 8.954
O -13.305 2.257 5.203
K -11.820 1.109 3.142
S -8.657 -1.526 -0.330
S -5.480 -0.531 1.036
K -5.996 -3.724 -0.011
O -8.821 -2.597 5.127
O -7.703 1.628 -0.046
Mo -4.374 -5.177 7.135
K -8.298 -5.309 5.639
K -8.898 3.785 1.474
Cl -11.528 1.398 10.186
Mo -7.606 0.076 0.797
K -7.305 -4.501 9.794
S -11.303 2.018 -0.118
K -2.357 -2.072 5.445
Mo -12.853 3.592 0.155
S -11.553 -0.871 5.795
K -16.827 -1.379 7.679
K -6.354 -2.036 3.972
Cl -10.004 3.487 4.445
O -3.191 -3.141 -0.072



2.
16
Lattice="-1.324 -7.627 0.787 2.782 -5.642 4.580 -4.673 -1.275 5.726" Properties=species:S:1:pos:R:3 comment="MoPb2O5 (PBE+U, optimized geometry)" total_energy_ev_per_atom=-6.378 space_group="C2/m, No. 12" formation_energy_kj_per_mol_atoms=-176.7 pbc="T T T"
O 0.967 -8.338 5.713
Pb -0.447 -6.831 4.059
Mo -1.344 -2.694 2.865
Mo -1.872 -11.850 8.227
O -2.653 -1.990 3.913
O -0.992 -4.384 3.368
Pb -2.768 -7.713 7.033
O -1.154 -9.363 3.754
O -2.062 -5.181 7.338
O 1.742 -6.145 3.619
Pb -3.953 -2.925 5.809
Pb 0.737 -11.619 5.283
O -0.563 -12.554 7.179
O -4.182 -6.206 5.379
O -0.285 -7.125 1.747
O -2.224 -10.160 7.724



3.
32
Lattice="-4.413 2.358 0.530 -1.121 -3.185 4.838 5.210 4.417 7.712" Properties=species:S:1:pos:R:3 comment="Li9Mn2Co5O16 (PBE+U, optimized geometry)" total_energy_ev_per_atom=-5.820 space_group="Cm, No. 8" formation_energy_kj_per_mol_atoms=-176.5 relative_energy_mev_per_atom=35.1 pbc="T T T"
O -2.034 -1.675 5.620
O -4.026 0.257 4.768
O -1.366 2.529 8.542
Li -4.967 0.765 2.950
O -0.946 4.194 6.139
Li 2.689 3.551 6.557
O -3.424 1.969 2.167
O 1.002 2.160 7.114
O 1.298 3.557 9.837
Li -0.348 2.382 10.434
Mn 0.795 6.771 8.238
Co -2.349 2.987 6.779
Li 0.026 1.198 2.663
O 0.546 -0.500 6.992
Co -1.801 4.545 4.412
O 3.099 1.626 10.907
O -0.762 3.043 3.514
O 3.699 3.330 8.319
O -1.612 0.065 3.266
O 1.113 0.977 4.498
Li -2.553 1.625 4.075
O 0.462 0.625 9.447
Co -2.490 0.353 1.521
Mn -0.425 1.009 7.760
O -1.356 1.352 6.083
Co 0.096 2.567 5.309
Li 0.198 3.934 8.077
Li -0.513 -0.332 4.988
O 1.694 5.249 7.445
Li 2.190 1.974 9.001
Li -3.000 0.028 6.518
Co -3.029 -1.181 3.850



4.
25
Lattice="-3.009 -1.692 -3.777 5.968 -3.403 -3.048 -2.604 -5.288 4.486" Properties=species:S:1:pos:R:3 comment="LiCr2Cu2W4O16 (PBE+U, optimized geometry)" total_energy_ev_per_atom=-7.071 space_group="P1, No. 1" formation_energy_kj_per_mol_atoms=-189.5 relative_energy_mev_per_atom=0.0 pbc="T T T"
W 0.964 -7.646 -2.348
O 0.785 -1.175 -0.574
O 2.134 -8.095 -0.804
Cu -1.879 -6.178 -0.821
Cu 2.341 -4.452 -1.453
O -2.434 -6.934 1.089
W 1.055 -7.105 0.801
O 0.105 -5.943 1.893
O 4.612 -4.883 -1.808
O 2.405 -5.606 0.320
Cr -1.840 -5.327 2.149
Li -2.912 -3.969 -1.032
W -0.718 -3.266 -3.117
O 1.885 -6.111 -2.886
O -2.018 -4.777 -2.587
O 0.241 -4.383 -4.257
O -0.397 -9.157 -1.771
O -1.651 -4.312 0.442
O 0.312 -3.702 -1.524
O 0.067 -6.649 -0.809
Cr 2.166 -4.955 -4.550
O -4.234 -5.421 -0.525
O 2.770 -3.418 -3.386
O -1.894 -2.305 -1.572
W -0.595 -2.694 0.018



5.
28
Lattice="5.890 -0.001 0.000 -2.945 5.101 -0.001 0.000 -0.001 10.254" Properties=species:S:1:pos:R:3 comment="Li2V3TeO8 (PBE+U, optimized geometry)" total_energy_ev_per_atom=-6.746 space_group="P6_3mc, No. 186" formation_energy_kj_per_mol_atoms=-215.3 relative_energy_mev_per_atom=36.5 pbc="T T T"
O 0.000 0.000 8.244
Te 0.000 3.400 5.184
O 1.420 0.815 1.047
O 4.473 0.821 1.048
O -1.526 4.285 6.174
O -1.378 2.606 3.376
O 2.945 0.109 8.502
Li 0.000 3.400 9.223
Te 2.944 1.700 0.057
O 1.568 2.495 8.503
Li 5.890 -0.001 5.024
V 4.316 0.906 7.377
V 0.001 1.817 2.250
O 0.000 3.400 1.056
V -1.373 4.192 2.249
V 1.371 4.194 2.249
V 1.572 0.909 7.377
O -0.003 1.638 6.175
Li 0.000 0.000 10.151
Li 2.945 1.700 4.096
O 2.945 1.699 6.183
O 4.322 2.495 8.503
O 0.000 4.991 3.376
O 1.378 2.605 3.374
V 2.946 3.284 7.377
O 5.889 0.000 3.117
O 2.942 3.463 1.047
O 1.528 4.279 6.174



6.
56
Lattice="5.796 0.000 0.000 1.554 6.213 0.000 1.632 0.930 13.057" Properties=species:S:1:pos:R:3 comment="Li17Ni11O28 (PBE+U, optimized geometry)" total_energy_ev_per_atom=-4.847 space_group="P-1, No. 2" formation_energy_kj_per_mol_atoms=-144.8 relative_energy_mev_per_atom=36.2 pbc="T T T"
Li 4.491 3.571 6.528
O 2.846 3.914 7.962
O 4.362 2.902 12.579
O 4.545 4.980 3.114
Li 4.383 2.288 0.943
Ni 6.008 6.507 10.243
Li 3.167 6.559 10.239
O 2.923 2.497 2.438
O 3.071 3.134 5.173
Li 4.600 4.855 12.114
Ni 1.597 2.938 3.750
O 7.249 6.145 8.838
Ni 3.037 1.286 5.606
O 4.595 5.683 6.149
Li 4.489 2.930 3.765
O 3.012 4.424 10.803
Li 3.021 1.949 8.389
O 4.677 6.906 11.523
O 1.699 2.362 9.880
O 7.304 5.460 6.189
Ni 5.913 4.576 1.866
Ni 7.474 4.850 12.117
Li 3.022 5.179 4.672
O 1.575 0.475 1.517
O 4.264 0.936 4.186
O 5.911 4.009 7.883
O 4.438 2.163 9.942
Li 3.071 5.869 7.436
Li 5.911 1.273 5.620
Li 0.000 0.000 0.000
O 7.407 6.668 11.539
Ni 1.508 2.293 0.940
Ni 3.070 2.567 11.190
O 4.718 6.207 8.871
O 1.734 0.997 4.219
Li 5.962 5.194 4.667
Li 5.816 0.584 2.817
Ni 2.974 0.636 2.814
O 7.284 4.781 3.177
Li 5.963 2.514 11.215
O 6.136 3.228 5.095
O 7.531 2.937 12.497
Li 3.020 4.629 1.841
O 5.970 2.719 2.254
O 4.621 4.241 0.478
Li 4.493 4.213 9.292
Li 5.960 1.963 8.384
O 1.452 4.206 0.559
O 1.679 1.683 6.867
Ni 5.945 5.857 7.450
O 4.388 1.460 6.908
O 6.059 4.646 10.619
Li 2.898 0.000 0.000
Ni 1.593 3.571 6.528
Ni 7.385 4.205 9.307
O 4.305 0.237 1.534



7.
32
Lattice="-7.958 -1.559 -2.801 -1.377 -5.101 6.751 -1.440 3.341 2.231" Properties=species:S:1:pos:R:3 comment="Mg14TiVO16 (PBE+U, optimized geometry)" total_energy_ev_per_atom=-6.234 space_group="Pmmm, No. 47" formation_energy_kj_per_mol_atoms=-282.3 pbc="T T T"
O -3.734 -2.543 5.482
Mg -6.678 0.503 -0.981
O -0.343 -1.272 1.683
O -5.012 -4.609 3.667
Mg -6.992 -4.992 2.963
O -2.034 -0.399 -0.716
O -1.408 -0.880 4.491
Mg -1.061 0.406 2.789
Mg -3.420 -1.274 3.783
Mg -3.030 -4.216 4.358
O -1.033 -3.829 5.067
Mg -6.304 -2.445 -0.408
O -3.045 0.007 2.106
V 0.000 0.000 0.000
Mg -2.720 1.279 0.412
O -0.720 1.671 1.116
O -2.744 -2.953 2.652
O -6.590 -3.707 1.298
O -4.322 -2.051 0.283
Ti -0.688 -2.550 3.375
O -7.729 -3.326 4.075
O -5.387 -1.659 3.090
O -5.924 -1.161 -2.085
Mg -1.755 -2.165 6.193
O -4.699 0.891 -0.285
Mg -2.342 -1.668 0.986
Mg -5.042 -0.382 1.400
Mg -5.732 -2.937 4.781
Mg -3.979 -0.780 -1.400
O -7.041 -0.776 0.699
Mg -4.667 -3.330 1.975
Mg -7.355 -2.045 2.398



8.
32
Lattice="-2.949 0.000 0.000 1.357 9.743 0.000 -0.086 -0.681 -10.062" Properties=species:S:1:pos:R:3 comment="Li9Mn2Co5O16 (PBE+U, optimized geometry)" total_energy_ev_per_atom=-5.700 space_group="P1, No. 1" formation_energy_kj_per_mol_atoms=-164.9 relative_energy_mev_per_atom=154.8 pbc="T T T"
Mn -1.553 4.750 -1.261
O -1.573 5.680 -4.683
O -0.077 3.738 -0.451
O -1.604 8.486 -1.446
Li -1.539 2.105 -4.440
Li -0.101 6.950 -5.645
O -1.626 8.283 -6.543
Co -0.116 4.298 -8.748
Co -0.099 4.565 -3.875
O -1.618 5.284 -9.838
Li -0.069 2.234 -1.970
Co -2.981 -0.317 -4.915
Co -1.582 4.501 -6.373
O -1.666 0.712 -5.962
O -0.018 8.341 -4.177
Li -0.119 9.476 -2.492
O -0.098 3.381 -5.311
O -0.124 0.532 -8.526
Li -1.582 6.714 -8.139
Li -0.077 2.022 -6.894
Li -0.132 7.303 -0.668
Co -1.545 -0.438 -7.504
O -1.563 3.546 -2.790
Li -1.577 1.760 -9.373
Li -1.603 7.216 -3.137
O -0.033 0.867 -3.634
O -1.498 1.000 -0.831
Mn 1.338 9.711 -0.075
O -0.219 8.086 -9.160
O -0.081 5.728 -2.141
O -0.108 5.630 -7.180
O -1.572 3.183 -7.780



9.
14
Lattice="-0.482 -5.094 2.000 -4.844 3.137 2.822 -4.406 -2.940 -1.460" Properties=species:S:1:pos:R:3 comment="LiVPO4 (PBE+U, optimized geometry)" total_energy_ev_per_atom=-7.095 space_group="Fdd2, No. 43" formation_energy_kj_per_mol_atoms=-247.0 e_ij_max_c_m2=1.0 relative_energy_mev_per_atom=83.2 pbc="T T T"
O -1.298 -1.679 0.668
O -5.513 -2.432 0.495
O -2.060 -4.466 1.485
Li -6.369 -2.144 2.419
P -7.897 -4.655 2.587
P -1.809 -0.198 0.771
O -8.501 -3.232 2.620
V -4.532 0.875 2.216
O -6.360 -4.546 2.452
O -4.166 -2.545 2.898
Li -5.169 -5.721 1.143
V -3.332 -2.702 0.940
O -7.769 -0.423 1.850
O -3.349 -0.409 0.989



10.
46
Lattice="7.875 0.000 0.000 0.000 7.285 0.000 0.000 3.249 8.866" Properties=species:S:1:pos:R:3 comment="Li2Ni3P4O14 (PBE+U, optimized geometry)" total_energy_ev_per_atom=-6.505 space_group="P2_1/c, No. 14" formation_energy_kj_per_mol_atoms=-229.8 relative_energy_mev_per_atom=0.0 pbc="T T T"
P 0.387 6.885 6.943
P 3.550 5.261 2.510
O 4.556 8.316 3.481
O 3.069 5.650 1.084
O 3.985 6.757 6.207
O 1.616 8.377 3.217
O 0.048 5.402 7.092
O 0.963 3.107 5.479
O 2.864 4.598 6.130
Ni 0.000 1.625 4.433
P 7.488 3.649 1.922
O 3.890 3.778 2.659
O 5.263 4.698 5.294
P 6.256 9.056 7.148
O 0.868 7.275 5.517
O 6.801 7.561 7.168
O 2.612 5.836 3.572
P 4.325 5.273 6.355
O 5.011 5.937 2.735
Li 0.659 6.337 3.229
O 5.553 0.532 1.216
O 3.319 2.219 5.384
O 7.827 5.132 1.774
P 1.619 1.478 1.718
O 2.975 1.482 1.046
Li 7.216 4.197 5.637
O 7.257 9.940 7.914
Ni 4.927 2.934 4.263
Ni 2.948 7.600 4.603
O 0.618 0.594 0.952
P 2.318 3.103 6.150
O 4.806 4.884 7.781
Ni 0.989 5.976 0.170
O 4.900 9.052 7.820
O 7.007 3.259 3.349
O 2.322 10.002 7.650
Li 4.597 2.572 1.204
Ni 6.886 4.559 8.696
O 6.259 2.157 5.648
P 5.557 7.431 2.715
O 6.912 7.427 3.387
O 1.074 2.973 1.697
Li 3.278 7.962 7.662
Ni 3.938 0.000 0.000
O 1.326 7.461 8.004
O 6.549 3.074 0.861



11.
40
Lattice="-4.685 0.838 1.264 -0.476 -8.531 1.187 3.742 4.977 7.576" Properties=species:S:1:pos:R:3 comment="Li7Ni11O22 (PBE+U, optimized geometry)" total_energy_ev_per_atom=-4.833 space_group="P-1, No. 2" formation_energy_kj_per_mol_atoms=-122.0 pbc="T T T"
O -2.732 0.131 2.447
O -1.780 -3.518 2.495
O -0.369 -3.480 4.841
Li -3.705 -6.292 3.936
O -0.453 -1.389 2.936
Ni 0.206 -5.287 4.804
O -0.924 -7.838 2.225
O 1.313 -2.847 7.580
O -4.014 -4.149 4.206
O -1.719 -5.703 4.569
Ni -1.492 -1.614 9.075
Ni 0.756 1.110 5.546
O -2.599 -1.968 4.351
Ni 0.826 -0.982 7.504
Ni -1.625 2.571 5.223
Li 2.286 3.576 6.091
Ni -2.343 0.419 0.632
O 1.998 3.426 8.260
O -3.417 -6.142 1.767
O -0.966 -1.327 7.091
O -0.495 5.122 7.803
Ni 0.135 -3.171 2.918
O -4.079 -2.090 2.247
Li -0.710 -1.358 5.014
Ni 0.073 -1.103 0.953
Li 2.283 1.425 8.045
Ni -2.246 -1.735 2.523
O -2.595 -4.165 6.499
Li -3.703 -4.142 1.982
O 1.176 1.449 3.528
O 0.360 0.802 7.532
Ni -1.555 0.455 7.109
Ni -2.175 -3.826 4.481
O 2.660 -0.626 7.780
O -1.050 0.764 5.186
O 2.595 1.432 5.821
Li -0.631 -3.466 6.953
O 1.180 -0.749 5.676
Li -0.789 0.750 3.074
O 0.300 2.987 5.458



- What is the formula in the fifth record?
  Li2V3TeO8